{
  "formula": "NaZrGaP2SO12",
  "functional": "PBE-GGA",
  "state": "relaxed",
  "cell": [[8.7730, 0.0000, 0.0000], [-4.3865, 7.5531, -0.0675], [0.0000, -0.2020, 22.8607]],
  "species": ["S", "O", "S", "O", "O", "O", "O", "Na", "O", "P", "O", "O", "O", "O", "P", "O", "S", "O", "O", "O", "O", "O", "O", "O", "O", "O", "O", "P", "O", "O", "P", "O", "O", "O", "O", "O", "O", "O", "S", "O", "O", "S", "O", "O", "O", "P", "O", "O", "Ga", "O", "Na", "Zr", "O", "O", "Zr", "P", "O", "O", "P", "O", "Ga", "O", "Zr", "O", "Zr", "O", "O", "O", "Na", "P", "O", "O", "Na", "O", "P", "O", "O", "P", "P", "Ga", "Zr", "S", "Ga", "O", "O", "O", "Zr", "O", "O", "O", "O", "O", "O", "Ga", "O", "Ga", "O", "O", "O", "O", "O", "O", "O", "Na", "P", "O", "Na", "O"],
  "frac_coords": [[0.3448, 0.3819, 0.4153], [0.6874, 0.1600, 0.7438], [0.0371, 0.3819, 0.9153], [0.6990, 0.1533, 0.0297], [0.1857, 0.1617, 0.0891], [0.6427, 0.4950, 0.9224], [0.6337, 0.1458, 0.4243], [0.6562, 0.3262, 0.8373], [0.5369, 0.6896, 0.9711], [0.2876, 0.9921, 0.2494], [0.8485, 0.5361, 0.7446], [0.1720, 0.2041, 0.6937], [0.4696, 0.3158, 0.7433], [0.5121, 0.1458, 0.9243], [0.6789, 0.6285, 0.5823], [0.4726, 0.1600, 0.2438], [0.3704, 0.0486, 0.5820], [0.1795, 0.9825, 0.9100], [0.3122, 0.4589, 0.4689], [0.3657, 0.4866, 0.3631], [0.7858, 0.9608, 0.6944], [0.3093, 0.8283, 0.2558], [0.1209, 0.4866, 0.8631], [0.8417, 0.2942, 0.5278], [0.4800, 0.1255, 0.6356], [0.5083, 0.6275, 0.8611], [0.4990, 0.3596, 0.4228], [0.9543, 0.3254, 0.5828], [0.1940, 0.0263, 0.5895], [0.4861, 0.3563, 0.1377], [0.3456, 0.9618, 0.9156], [0.7876, 0.8199, 0.1964], [0.1363, 0.6491, 0.0767], [0.9670, 0.8125, 0.0910], [0.8523, 0.4950, 0.4224], [0.8454, 0.8125, 0.5910], [0.3103, 0.8466, 0.9705], [0.3654, 0.8708, 0.8604], [0.6781, 0.0486, 0.0820], [0.9769, 0.1800, 0.3038], [0.8702, 0.3563, 0.6377], [0.0115, 0.7152, 0.7486], [0.8697, 0.5133, 0.1371], [0.9789, 0.7922, 0.8023], [0.4542, 0.1533, 0.5297], [0.7044, 0.9921, 0.7494], [0.6436, 0.5133, 0.6371], [0.1466, 0.4589, 0.9689], [0.6925, 0.3435, 0.4818], [0.8462, 0.3158, 0.2433], [0.0034, 0.9929, 0.0039], [0.9994, 0.0022, 0.3543], [0.1191, 0.6275, 0.3611], [0.9760, 0.1617, 0.5891], [0.0028, 0.0022, 0.8543], [0.9496, 0.6285, 0.0823], [0.1393, 0.4934, 0.5772], [0.8323, 0.0263, 0.0895], [0.0378, 0.6587, 0.4161], [0.8194, 0.0229, 0.8044], [0.3177, 0.6768, 0.3151], [0.8606, 0.3596, 0.9228], [0.3328, 0.6689, 0.0210], [0.3543, 0.8694, 0.5779], [0.6661, 0.3356, 0.6877], [0.8387, 0.5374, 0.0270], [0.2035, 0.0229, 0.3044], [0.0208, 0.8267, 0.4105], [0.3367, 0.6595, 0.6706], [0.6210, 0.6587, 0.9161], [0.1788, 0.4791, 0.2576], [0.3003, 0.4791, 0.7576], [0.6700, 0.3262, 0.3373], [0.0324, 0.8199, 0.6964], [0.2829, 0.2952, 0.7489], [0.5273, 0.6929, 0.2561], [0.5128, 0.6491, 0.5767], [0.6163, 0.9618, 0.4156], [0.0122, 0.2952, 0.2489], [0.9843, 0.0102, 0.6484], [0.6695, 0.3356, 0.1877], [0.7038, 0.7152, 0.2486], [0.0258, 0.0102, 0.1484], [0.5364, 0.8466, 0.4705], [0.0209, 0.2027, 0.9113], [0.1656, 0.6929, 0.7561], [0.3361, 0.6689, 0.5210], [0.5053, 0.8708, 0.3604], [0.5151, 0.8694, 0.0779], [0.5190, 0.8283, 0.7558], [0.3541, 0.4934, 0.0772], [0.6987, 0.5374, 0.5270], [0.4525, 0.2942, 0.0278], [0.3592, 0.6768, 0.8151], [0.2031, 0.1800, 0.8038], [0.6510, 0.3435, 0.9818], [0.8133, 0.7922, 0.3023], [0.8030, 0.9825, 0.4100], [0.8059, 0.8267, 0.9105], [0.0321, 0.2041, 0.1937], [0.1818, 0.2027, 0.4113], [0.1527, 0.6896, 0.4711], [0.6456, 0.1255, 0.1356], [0.9895, 0.9929, 0.5039], [0.3711, 0.3254, 0.0828], [0.1750, 0.9608, 0.1944], [0.3228, 0.6595, 0.1706], [0.6876, 0.5361, 0.2446]],
  "magmom_total_mub_per_cell": 0.00,
  "e_tot_ev_per_cell": -761.4,
  "formation_energy_mev_per_atom": -2662
}